# PBE MgSc8Ga15Cu29, relaxed
# VASP energy: -4.29 eV per atom
# Total moment: 0.000 μB/cell
# Energy relative to the elements: -0.20 eV/atom
data_MgSc8Ga15Cu29
_chemical_formula_sum 'Mg1 Sc8 Ga15 Cu29'
_space_group_name_H-M_alt 'P 1 m 1'
_space_group_IT_number 6
_space_group_name_Hall 'P -2y'
_cell_length_a 8.4718
_cell_length_b 8.3166
_cell_length_c 11.7773
_cell_angle_alpha 90.00
_cell_angle_beta 110.67
_cell_angle_gamma 90.00
loop_
_atom_site_label
_atom_site_type_symbol
_atom_site_fract_x
_atom_site_fract_y
_atom_site_fract_z
Mg1 Mg 0.0000 0.0000 0.0000
Sc1 Sc 0.0160 0.2873 0.8504
Sc2 Sc 0.1283 0.5000 0.4842
Sc3 Sc 0.2236 0.0000 0.2709
Sc4 Sc 0.4356 0.0000 0.7100
Sc5 Sc 0.5234 0.5000 0.4853
Sc6 Sc 0.6367 0.2746 0.1112
Ga1 Ga 0.1267 0.5000 0.0814
Ga2 Ga 0.1918 0.5000 0.7442
Ga3 Ga 0.2364 0.3403 0.3038
Ga4 Ga 0.3277 0.5000 0.9843
Ga5 Ga 0.3358 0.0000 0.9842
Ga6 Ga 0.4198 0.3396 0.6690
Ga7 Ga 0.4639 0.5000 0.2227
Ga8 Ga 0.5308 0.5000 0.8882
Ga9 Ga 0.7256 0.5000 0.7460
Ga10 Ga 0.7615 0.5000 0.3607
Ga11 Ga 0.8281 0.5000 0.9852
Ga12 Ga 0.8910 0.5000 0.6110
Ga13 Ga 0.9243 0.5000 0.2246
Cu1 Cu 0.0811 0.0000 0.4864
Cu2 Cu 0.1276 0.2213 0.6401
Cu3 Cu 0.1342 0.0000 0.7883
Cu4 Cu 0.2878 0.2354 0.1063
Cu5 Cu 0.3285 0.1697 0.4873
Cu6 Cu 0.3654 0.2389 0.8629
Cu7 Cu 0.5115 0.0000 0.1877
Cu8 Cu 0.5291 0.2245 0.3307
Cu9 Cu 0.5742 0.0000 0.4834
Cu10 Cu 0.6232 0.0000 0.9669
Cu11 Cu 0.6813 0.2230 0.6394
Cu12 Cu 0.6861 0.2405 0.8669
Cu13 Cu 0.7702 0.0000 0.3606
Cu14 Cu 0.7982 0.0000 0.7869
Cu15 Cu 0.8280 0.2516 0.4856
Cu16 Cu 0.8490 0.0000 0.1722
Cu17 Cu 0.8850 0.0000 0.6077
Cu18 Cu 0.9698 0.2203 0.3290
Cu19 Cu 0.9762 0.2520 0.1124

=====

# PBE MgGaCu3Se4, relaxed
# VASP energy: -3.74 eV per atom
# Total moment: 0.000 μB/cell
# Energy relative to the elements: -0.52 eV/atom
data_MgGaCu3Se4
_chemical_formula_sum 'Mg1 Ga1 Cu3 Se4'
_space_group_name_H-M_alt 'P -4 3 m'
_space_group_IT_number 215
_space_group_name_Hall 'P -4 2 3'
_cell_length_a 5.8285
_cell_length_b 5.8285
_cell_length_c 5.8285
_cell_angle_alpha 90.00
_cell_angle_beta 90.00
_cell_angle_gamma 90.00
loop_
_atom_site_label
_atom_site_type_symbol
_atom_site_fract_x
_atom_site_fract_y
_atom_site_fract_z
Mg1 Mg 0.0000 0.0000 0.0000
Ga1 Ga 0.5000 0.5000 0.5000
Cu1 Cu 0.0000 0.5000 0.5000
Se1 Se 0.2551 0.2551 0.7449

=====

# PBE Mn2GaCu3, relaxed
# VASP energy: -5.54 eV per atom
# Energy relative to the elements: 0.06 eV/atom
# ΔE to the lowest computed polymorph: 0.000 eV/atom
data_Mn2GaCu3
_chemical_formula_sum 'Mn4 Ga2 Cu6'
_space_group_name_H-M_alt 'P 63/m m c'
_space_group_IT_number 194
_space_group_name_Hall '-P 6c 2c'
_cell_length_a 4.8982
_cell_length_b 4.8982
_cell_length_c 7.8736
_cell_angle_alpha 90.00
_cell_angle_beta 90.00
_cell_angle_gamma 120.00
loop_
_atom_site_label
_atom_site_type_symbol
_atom_site_fract_x
_atom_site_fract_y
_atom_site_fract_z
Mn1 Mn 0.3333 0.6667 0.0620
Ga1 Ga 0.0000 0.0000 0.0000
Cu1 Cu 0.1714 0.3428 0.7500

=====

Among the records above, which one has the highest VASP energy? MgGaCu3Se4

=====

The lowest energy relative to the elements belongs to which entry? MgGaCu3Se4